{
  "formula": "KEu2Si4O10F",
  "functional": "PBE",
  "state": "optimized geometry",
  "space_group": "P2_1/c",
  "rho_g_cm3": 3.90,
  "magnetic_moment_mub_per_atom": 0.778,
  "delta_e_f_ev_per_fu": -59.6,
  "lattice_angstrom": [[11.584, 0.000, 0.000], [0.000, 8.587, 0.000], [-7.159, 0.000, 10.861]],
  "species": ["K", "K", "K", "K", "Eu", "Eu", "Eu", "Eu", "Eu", "Eu", "Eu", "Eu", "Si", "Si", "Si", "Si", "Si", "Si", "Si", "Si", "Si", "Si", "Si", "Si", "Si", "Si", "Si", "Si", "O", "O", "O", "O", "O", "O", "O", "O", "O", "O", "O", "O", "O", "O", "O", "O", "O", "O", "O", "O", "O", "O", "O", "O", "O", "O", "O", "O", "O", "O", "O", "O", "O", "O", "O", "O", "O", "O", "O", "O", "F", "F", "F", "F"],
  "fractional_positions": [[0.108, 0.217, 0.074], [0.108, 0.283, 0.574], [0.892, 0.717, 0.426], [0.892, 0.783, 0.926], [0.418, 0.218, 0.961], [0.418, 0.282, 0.461], [0.434, 0.021, 0.720], [0.434, 0.479, 0.220], [0.566, 0.521, 0.780], [0.566, 0.979, 0.280], [0.582, 0.718, 0.539], [0.582, 0.782, 0.039], [0.125, 0.533, 0.243], [0.125, 0.967, 0.743], [0.192, 0.525, 0.915], [0.192, 0.975, 0.415], [0.247, 0.659, 0.731], [0.247, 0.841, 0.231], [0.255, 0.623, 0.504], [0.255, 0.877, 0.004], [0.745, 0.123, 0.996], [0.745, 0.377, 0.496], [0.753, 0.159, 0.769], [0.753, 0.341, 0.269], [0.808, 0.025, 0.585], [0.808, 0.475, 0.085], [0.875, 0.033, 0.257], [0.875, 0.467, 0.757], [0.027, 0.543, 0.861], [0.027, 0.957, 0.361], [0.126, 0.561, 0.369], [0.126, 0.939, 0.869], [0.127, 0.706, 0.188], [0.127, 0.794, 0.688], [0.204, 0.581, 0.597], [0.204, 0.919, 0.097], [0.213, 0.521, 0.799], [0.213, 0.979, 0.299], [0.248, 0.075, 0.764], [0.248, 0.425, 0.264], [0.267, 0.123, 0.503], [0.267, 0.377, 0.003], [0.267, 0.685, 0.999], [0.267, 0.815, 0.499], [0.400, 0.542, 0.547], [0.400, 0.958, 0.047], [0.404, 0.719, 0.810], [0.404, 0.781, 0.310], [0.596, 0.219, 0.690], [0.596, 0.281, 0.190], [0.600, 0.042, 0.953], [0.600, 0.458, 0.453], [0.733, 0.185, 0.501], [0.733, 0.315, 0.001], [0.733, 0.623, 0.997], [0.733, 0.877, 0.497], [0.752, 0.575, 0.736], [0.752, 0.925, 0.236], [0.787, 0.021, 0.701], [0.787, 0.479, 0.201], [0.796, 0.081, 0.903], [0.796, 0.419, 0.403], [0.873, 0.206, 0.312], [0.873, 0.294, 0.812], [0.874, 0.061, 0.131], [0.874, 0.439, 0.631], [0.973, 0.043, 0.639], [0.973, 0.457, 0.139], [0.429, 0.185, 0.290], [0.429, 0.315, 0.790], [0.571, 0.685, 0.210], [0.571, 0.815, 0.710]]
}



{
  "formula": "Sm3MgBiRu4O14",
  "functional": "PBE",
  "state": "optimized geometry",
  "polymorph_energy_ev_per_atom": 0.000,
  "space_group": "R3m",
  "rho_g_cm3": 7.43,
  "magnetic_moment_mub_per_atom": 0.000,
  "delta_e_f_ev_per_fu": -52.0,
  "lattice_angstrom": [[3.738, 2.158, 6.059], [-3.738, 2.158, 6.059], [0.000, -4.317, 6.059]],
  "species": ["Sm", "Sm", "Sm", "Mg", "Bi", "Ru", "Ru", "Ru", "Ru", "O", "O", "O", "O", "O", "O", "O", "O", "O", "O", "O", "O", "O", "O"],
  "fractional_positions": [[0.168, 0.168, 0.664], [0.168, 0.664, 0.168], [0.664, 0.168, 0.168], [0.791, 0.791, 0.791], [0.168, 0.168, 0.168], [0.193, 0.657, 0.657], [0.656, 0.656, 0.656], [0.657, 0.193, 0.657], [0.657, 0.657, 0.193], [0.001, 0.001, 0.582], [0.001, 0.582, 0.001], [0.003, 0.578, 0.578], [0.038, 0.038, 0.038], [0.293, 0.293, 0.293], [0.339, 0.743, 0.743], [0.341, 0.341, 0.740], [0.341, 0.740, 0.341], [0.578, 0.003, 0.578], [0.578, 0.578, 0.003], [0.582, 0.001, 0.001], [0.740, 0.341, 0.341], [0.743, 0.339, 0.743], [0.743, 0.743, 0.339]]
}



{
  "formula": "DyTaO4",
  "functional": "PBE",
  "state": "optimized geometry",
  "space_group": "P2/c",
  "rho_g_cm3": 8.96,
  "delta_e_f_ev_per_fu": -22.4,
  "lattice_angstrom": [[5.154, 0.000, 0.000], [0.000, 5.519, 0.000], [-0.612, 0.000, 5.310]],
  "species": ["Dy", "Dy", "Ta", "Ta", "O", "O", "O", "O", "O", "O", "O", "O"],
  "fractional_positions": [[0.000, 0.233, 0.250], [0.000, 0.767, 0.750], [0.500, 0.307, 0.750], [0.500, 0.693, 0.250], [0.250, 0.086, 0.601], [0.250, 0.914, 0.101], [0.269, 0.435, 0.995], [0.269, 0.565, 0.495], [0.731, 0.435, 0.505], [0.731, 0.565, 0.005], [0.750, 0.086, 0.899], [0.750, 0.914, 0.399]]
}



{
  "formula": "Fe2NiP",
  "functional": "PBE",
  "state": "optimized geometry",
  "space_group": "I-4",
  "rho_g_cm3": 7.44,
  "magnetic_moment_mub_per_atom": 1.044,
  "delta_e_f_ev_per_fu": -1.4,
  "lattice_angstrom": [[-4.507, 4.507, 2.212], [4.507, -4.507, 2.212], [4.507, 4.507, -2.212]],
  "species": ["Fe", "Fe", "Fe", "Fe", "Fe", "Fe", "Fe", "Fe", "Ni", "Ni", "Ni", "Ni", "P", "P", "P", "P"],
  "fractional_positions": [[0.082, 0.470, 0.048], [0.164, 0.193, 0.814], [0.378, 0.349, 0.186], [0.422, 0.034, 0.952], [0.530, 0.578, 0.612], [0.651, 0.836, 0.029], [0.807, 0.622, 0.971], [0.966, 0.918, 0.388], [0.115, 0.512, 0.669], [0.488, 0.157, 0.604], [0.554, 0.885, 0.396], [0.843, 0.446, 0.331], [0.064, 0.308, 0.337], [0.273, 0.936, 0.244], [0.692, 0.029, 0.756], [0.971, 0.727, 0.663]]
}